--- w ---
The following is a GGA-PBE calculation of an optimized crystal structure of NaCeMg6, from the Materials Project database.

extended XYZ file:
```
16
Lattice="-0.186 -4.289 -2.927 6.571 -0.778 0.723 -1.813 -6.443 9.555" Properties=species:S:1:pos:R:3 pbc="T T T"
Mg 1.764 -5.797 8.381
Mg 0.743 -5.056 2.748
Mg -0.082 -8.287 7.535
Mg 2.685 -2.525 3.529
Mg 4.805 -1.064 1.254
Mg 0.613 -3.897 5.671
Mg 3.122 -8.666 7.887
Ce 1.977 -6.852 5.301
Na 2.893 -3.598 0.476
Ce -0.402 -3.241 0.163
Na -1.299 -6.430 4.892
Mg 3.875 -4.283 6.029
Mg 4.111 -5.454 3.119
Mg -1.508 -5.357 7.945
Mg -0.615 -2.186 3.242
Mg 1.496 -0.673 0.891
```

=====

--- x ---
The following is a GGA-PBE calculation of an optimized crystal structure of NaCeMg6, from the Materials Project database.

extended XYZ file:
```
8
Lattice="5.280 0.000 0.000 0.000 3.365 5.853 0.000 -3.365 5.853" Properties=species:S:1:pos:R:3 pbc="T T T"
Na 0.000 0.000 0.000
Ce 2.640 0.000 2.030
Mg 0.000 -1.694 2.983
Mg 0.000 0.000 5.899
Mg 0.000 1.694 2.983
Mg 2.640 -1.687 4.898
Mg 2.640 1.687 4.898
Mg 2.640 0.000 7.875
```

=====

Quick one: most stable of them? x

=====

--- w ---
The following is a GGA-PBE calculation of an optimized crystal structure of CeMgS3, from the Materials Project database.

extended XYZ file:
```
30
Lattice="6.846 0.000 0.000 -3.423 5.928 0.000 0.000 0.000 17.555" Properties=species:S:1:pos:R:3 pbc="T T T"
S 1.365 1.877 1.464
S -2.308 4.196 13.167
Mg 0.000 0.000 14.851
S 4.366 3.808 1.464
Ce 0.000 3.952 5.491
S 1.365 5.829 13.167
Ce 3.423 1.976 17.194
S 0.943 1.832 13.167
S 2.058 0.099 4.388
Mg 0.000 3.952 8.999
S 2.058 4.052 16.091
S 0.943 5.784 7.315
Ce 0.000 0.000 11.343
Mg 3.423 1.976 8.555
S -2.058 3.853 7.315
S 2.480 0.144 10.239
S -1.115 5.685 16.091
S -0.943 2.120 16.091
S 4.538 0.243 1.464
S 5.731 1.733 4.388
S 1.115 2.220 7.315
Ce 3.423 1.976 12.063
S 2.480 4.096 4.388
S 5.481 2.075 10.239
Mg 0.000 0.000 2.704
Mg 0.000 3.952 14.407
Ce 0.000 0.000 6.212
Mg 3.423 1.976 3.148
S 2.308 3.709 10.239
Ce 0.000 3.952 0.360
```

=====

--- x ---
The following is a GGA-PBE calculation of an optimized crystal structure of CeMgS3, from the Materials Project database.

extended XYZ file:
```
10
Lattice="3.851 -5.463 0.000 3.851 5.463 0.000 -3.355 0.000 5.940" Properties=species:S:1:pos:R:3 pbc="T T T"
Ce 0.622 0.000 1.561
Ce 3.726 0.000 4.379
Mg 3.851 1.900 0.000
Mg 3.851 -1.900 0.000
S 2.520 3.804 1.048
S 1.828 3.804 4.892
S 1.021 0.000 4.249
S 3.327 0.000 1.692
S 2.520 -3.804 1.048
S 1.828 -3.804 4.892
```

=====

Quick one: most stable of them? w

=====

--- w ---
The following is a GGA-PBE calculation of an optimized crystal structure of CeMg6Sb, from the Materials Project database.

extended XYZ file:
```
8
Lattice="5.077 0.000 0.000 0.000 3.393 5.760 0.000 -3.393 5.760" Properties=species:S:1:pos:R:3 pbc="T T T"
Ce 0.000 0.000 0.000
Mg 0.000 -1.639 2.879
Mg 0.000 1.639 2.879
Mg 0.000 0.000 5.883
Mg 2.538 0.000 3.921
Mg 2.538 -1.563 6.874
Mg 2.538 1.563 6.874
Sb 2.538 0.000 9.600
```

=====

--- x ---
The following is a GGA-PBE calculation of an optimized crystal structure of CeMg6Sb, from the Materials Project database.

extended XYZ file:
```
16
Lattice="-1.164 3.905 -3.349 -2.853 -4.129 -3.824 -10.297 1.827 5.710" Properties=species:S:1:pos:R:3 pbc="T T T"
Mg -2.903 -2.966 -2.450
Mg -8.564 1.520 4.749
Mg -7.063 -0.383 -2.146
Mg -12.201 0.546 0.723
Ce -2.371 2.270 -0.683
Mg -1.471 -0.894 -0.531
Ce -8.946 1.119 0.260
Mg -4.842 -1.459 -0.018
Mg -6.625 0.012 2.317
Sb -3.727 0.193 -2.634
Mg -5.625 1.697 -0.219
Mg -10.785 2.596 2.621
Sb -7.449 3.171 2.133
Mg -8.046 -2.045 0.412
Mg -10.056 -0.533 2.873
Mg -3.481 0.618 1.930
```

=====

Quick one: most stable of them? x

=====

--- w ---
The following is a GGA-PBE calculation of an optimized crystal structure of CeMg6Si, from the Materials Project database.

extended XYZ file:
```
16
Lattice="-1.293 -4.240 -2.085 2.767 1.577 -4.925 10.913 -5.480 4.377" Properties=species:S:1:pos:R:3 pbc="T T T"
Si 2.205 -2.069 -2.916
Mg 10.277 -6.873 1.848
Mg 6.956 -2.749 1.277
Mg 2.883 0.780 -3.374
Mg 3.875 -1.946 1.554
Mg 8.336 -1.963 -1.178
Si 6.278 -5.598 1.735
Mg 1.495 -0.011 -0.904
Mg 4.564 -0.808 -1.187
Mg 4.837 -4.123 -0.370
Mg 10.715 -3.898 1.281
Mg 8.636 -4.337 3.464
Mg 6.204 -3.344 -2.802
Mg 11.677 -6.075 -0.644
Ce 1.477 -3.187 -0.191
Ce 8.317 -5.138 -0.464
```

=====

--- x ---
The following is a GGA-PBE calculation of an optimized crystal structure of CeMg6Si, from the Materials Project database.

extended XYZ file:
```
8
Lattice="4.939 0.000 0.000 0.000 3.279 5.751 0.000 -3.279 5.751" Properties=species:S:1:pos:R:3 pbc="T T T"
Ce 0.000 0.000 0.000
Mg 0.000 -1.663 2.977
Mg 0.000 1.663 2.977
Mg 0.000 0.000 5.949
Mg 2.469 0.000 4.021
Mg 2.469 -1.540 6.962
Mg 2.469 1.540 6.962
Si 2.469 0.000 9.797
```

=====

Quick one: most stable of them? w

=====

--- w ---
The following is a GGA-PBE calculation of an optimized crystal structure of CeMg6Ti, from the Materials Project database.

extended XYZ file:
```
16
Lattice="5.208 0.000 0.000 0.000 6.028 0.000 0.000 0.000 11.898" Properties=species:S:1:pos:R:3 pbc="T T T"
Mg 0.000 4.560 0.930
Ce 2.604 0.000 8.067
Mg 2.604 4.529 5.056
Mg 0.000 0.000 9.964
Mg 2.604 1.515 11.006
Mg 0.000 3.014 4.015
Mg 0.000 1.467 0.930
Ce 2.604 3.014 2.118
Mg 0.000 0.000 3.714
Mg 0.000 1.546 6.879
Mg 2.604 4.513 11.006
Ti 2.604 3.014 7.927
Mg 2.604 1.499 5.056
Ti 2.604 0.000 1.977
Mg 0.000 4.481 6.879
Mg 0.000 3.014 9.663
```

=====

--- x ---
The following is a GGA-PBE calculation of an optimized crystal structure of CeMg6Ti, from the Materials Project database.

extended XYZ file:
```
16
Lattice="4.956 0.000 0.000 0.000 6.449 0.000 0.000 0.000 11.601" Properties=species:S:1:pos:R:3 pbc="T T T"
Mg 0.000 1.592 0.864
Ti 0.000 3.224 3.585
Mg 0.000 1.632 6.664
Mg 0.000 4.816 6.664
Mg 2.478 4.886 10.758
Mg 2.478 0.000 1.938
Mg 0.000 3.224 9.582
Mg 2.478 3.224 7.739
Mg 0.000 0.000 3.781
Mg 2.478 4.786 4.957
Mg 2.478 1.662 4.957
Ce 2.478 3.224 2.257
Mg 0.000 4.856 0.864
Ce 2.478 0.000 8.058
Ti 0.000 0.000 9.385
Mg 2.478 1.562 10.758
```

=====

Quick one: most stable of them? x

=====

--- w ---
The following is a GGA-PBE calculation of an optimized crystal structure of CeMg14Ti, from the Materials Project database.

extended XYZ file:
```
16
Lattice="6.611 0.000 0.000 -3.305 5.725 0.000 0.000 0.000 10.403" Properties=species:S:1:pos:R:3 pbc="T T T"
Ce 0.000 0.000 0.000
Mg -1.578 2.905 0.000
Mg 0.000 1.893 2.718
Mg 0.000 1.893 7.685
Mg -1.666 4.778 2.718
Mg -1.666 4.778 7.685
Mg 1.578 2.905 0.000
Mg 0.000 5.639 0.000
Mg 3.305 0.018 5.202
Mg 1.668 2.853 5.202
Mg 3.305 1.908 2.493
Mg 3.305 1.908 7.910
Mg 1.666 4.778 2.718
Mg 1.666 4.778 7.685
Mg 4.942 2.853 5.202
Ti 0.000 0.000 5.202
```

=====

--- x ---
The following is a GGA-PBE calculation of an optimized crystal structure of CeMg14Ti, from the Materials Project database.

extended XYZ file:
```
16
Lattice="10.425 0.000 0.000 0.000 3.113 5.730 0.000 -3.113 5.730" Properties=species:S:1:pos:R:3 pbc="T T T"
Ce 0.000 0.000 0.000
Mg 0.000 -1.534 2.865
Mg 0.000 1.534 2.865
Mg 2.508 0.000 7.507
Mg 2.646 -1.531 4.681
Mg 2.646 1.531 4.681
Mg 2.695 0.000 1.844
Mg 5.213 0.000 5.688
Mg 5.213 -1.545 8.546
Mg 5.213 1.545 8.546
Mg 5.213 0.000 11.403
Mg 7.731 0.000 1.844
Mg 7.779 -1.531 4.681
Mg 7.779 1.531 4.681
Mg 7.917 0.000 7.507
Ti 0.000 0.000 5.636
```

=====

Quick one: most stable of them? x

=====

--- w ---
The following is a GGA-PBE calculation of an optimized crystal structure of CeMg14W, from the Materials Project database.

extended XYZ file:
```
16
Lattice="10.399 0.000 0.000 0.000 2.986 5.755 0.000 -2.986 5.755" Properties=species:S:1:pos:R:3 pbc="T T T"
Ce 0.000 0.000 0.000
Mg 0.000 -1.473 2.865
Mg 0.000 1.473 2.865
Mg 2.411 0.000 7.383
Mg 2.579 -1.459 4.608
Mg 2.579 1.459 4.608
Mg 2.740 0.000 1.745
Mg 5.199 0.000 5.659
Mg 5.199 -1.478 8.532
Mg 5.199 0.000 11.372
Mg 5.199 1.478 8.532
Mg 7.659 0.000 1.745
Mg 7.819 -1.459 4.608
Mg 7.819 1.459 4.608
Mg 7.988 0.000 7.383
W 0.000 0.000 5.626
```

=====

--- x ---
The following is a GGA-PBE calculation of an optimized crystal structure of CeMg14W, from the Materials Project database.

extended XYZ file:
```
16
Lattice="6.333 0.000 0.000 -3.167 5.485 0.000 0.000 0.000 10.157" Properties=species:S:1:pos:R:3 pbc="T T T"
Ce 0.000 0.000 0.000
Mg -1.511 2.784 0.000
Mg 0.000 1.788 2.740
Mg 0.000 1.788 7.417
Mg -1.618 4.591 2.740
Mg -1.618 4.591 7.417
Mg 1.511 2.784 0.000
Mg 0.000 5.401 0.000
Mg 3.167 0.039 5.079
Mg 1.617 2.723 5.079
Mg 3.167 1.828 2.388
Mg 3.167 1.828 7.769
Mg 1.618 4.591 2.740
Mg 1.618 4.591 7.417
Mg 4.716 2.723 5.079
W 0.000 0.000 5.079
```

=====

Quick one: most stable of them? w

=====

--- w ---
The following is a GGA-PBE calculation of an optimized crystal structure of CeYMg14, from the Materials Project database.

extended XYZ file:
```
16
Lattice="6.658 0.000 0.000 -3.329 5.766 0.000 0.000 0.000 10.400" Properties=species:S:1:pos:R:3 pbc="T T T"
Ce 0.000 0.000 0.000
Y 0.000 0.000 5.200
Mg -1.635 2.900 5.200
Mg -1.626 2.906 0.000
Mg 0.000 1.964 2.606
Mg 0.000 1.964 7.794
Mg -1.628 4.784 2.606
Mg -1.628 4.784 7.794
Mg 1.626 2.906 0.000
Mg 0.000 5.721 0.000
Mg 1.635 2.900 5.200
Mg 0.000 5.732 5.200
Mg 1.628 4.784 2.606
Mg 1.628 4.784 7.794
Mg 3.329 1.922 2.573
Mg 3.329 1.922 7.828
```

=====

--- x ---
The following is a GGA-PBE calculation of an optimized crystal structure of CeYMg14, from the Materials Project database.

extended XYZ file:
```
16
Lattice="10.394 0.000 0.000 0.000 3.220 5.670 0.000 -3.220 5.670" Properties=species:S:1:pos:R:3 pbc="T T T"
Ce 0.000 0.000 0.000
Y 0.000 0.000 5.619
Mg 0.000 -1.607 2.846
Mg 0.000 1.607 2.846
Mg 2.619 0.000 7.614
Mg 2.658 0.000 1.955
Mg 2.729 -1.612 4.750
Mg 2.729 1.612 4.750
Mg 5.197 -1.611 2.871
Mg 5.197 0.000 0.061
Mg 5.197 1.611 2.871
Mg 5.197 0.000 5.731
Mg 7.664 -1.612 4.750
Mg 7.664 1.612 4.750
Mg 7.735 0.000 1.955
Mg 7.775 0.000 7.614
```

=====

Quick one: most stable of them? x

=====

--- w ---
The following is a GGA-PBE calculation of an optimized crystal structure of CeMg14Zn, from the Materials Project database.

extended XYZ file:
```
16
Lattice="10.286 0.000 0.000 0.000 3.187 5.702 0.000 -3.187 5.702" Properties=species:S:1:pos:R:3 pbc="T T T"
Ce 0.000 0.000 0.000
Mg 0.000 -1.526 2.882
Mg 0.000 1.526 2.882
Mg 2.386 0.000 7.419
Mg 2.614 -1.575 4.621
Mg 2.614 1.575 4.621
Mg 2.671 0.000 1.812
Mg 5.143 0.000 5.622
Mg 5.143 -1.568 8.453
Mg 5.143 1.568 8.453
Mg 5.143 0.000 11.297
Mg 7.615 0.000 1.812
Mg 7.672 -1.575 4.621
Mg 7.672 1.575 4.621
Mg 7.900 0.000 7.419
Zn 0.000 0.000 5.406
```

=====

--- x ---
The following is a GGA-PBE calculation of an optimized crystal structure of CeMg14Zn, from the Materials Project database.

extended XYZ file:
```
16
Lattice="6.492 0.000 0.000 -3.246 5.622 0.000 0.000 0.000 10.235" Properties=species:S:1:pos:R:3 pbc="T T T"
Ce 0.000 0.000 0.000
Mg -1.547 2.855 0.000
Mg 0.000 1.857 2.677
Mg 0.000 1.857 7.559
Mg -1.638 4.694 2.677
Mg -1.638 4.694 7.559
Mg 1.547 2.855 0.000
Mg 0.000 5.534 0.000
Mg 3.246 0.024 5.118
Mg 1.643 2.799 5.118
Mg 3.246 1.874 2.471
Mg 3.246 1.874 7.764
Mg 1.638 4.694 2.677
Mg 1.638 4.694 7.559
Mg 4.849 2.799 5.118
Zn 0.000 0.000 5.118
```

=====

Quick one: most stable of them? w